# 1
Material: Li11Mn6O16
Method: DFT, PBE with a Hubbard U
State: relaxed Values from VASP.

```
&SYSTEM
  ibrav = 0, nat = 66, ntyp = 3
/
ATOMIC_SPECIES
Mn 54.94 Mn.upf
O 16.00 O.upf
Li 6.94 Li.upf
ATOMIC_POSITIONS crystal
Mn 0.253 0.996 0.246
O 0.022 0.994 0.263
Li 0.007 0.237 0.754
O 0.519 0.256 0.008
Mn 0.007 0.751 0.755
Mn 0.255 0.503 0.752
Li 0.593 0.079 0.408
O 0.989 0.256 0.994
O 0.493 0.011 0.781
O 0.258 0.998 0.023
O 0.763 0.750 0.723
Mn 0.754 0.748 0.501
Li 0.522 0.504 0.994
O 0.239 0.493 0.979
Li 0.514 0.728 0.788
Li 0.757 0.753 0.010
Mn 0.506 0.742 0.249
Mn 0.008 0.994 0.496
Li 0.236 0.240 0.995
O 0.986 0.494 0.255
O 0.740 0.253 0.769
Li 0.308 0.441 0.178
Li 0.999 0.992 0.009
Li 0.753 0.504 0.753
O 0.747 0.014 0.002
O 0.514 0.743 0.027
Li 0.243 0.002 0.792
Mn 0.754 0.248 0.001
O 0.517 0.510 0.253
Mn 0.257 0.253 0.495
Li 0.250 0.742 0.007
Li 0.005 0.250 0.251
O 0.262 0.263 0.749
O 0.754 0.517 0.503
Li 0.439 0.940 0.588
Li 0.756 0.999 0.756
O 0.254 0.737 0.749
Li 0.267 0.743 0.517
O 0.996 0.736 0.000
O 0.488 0.245 0.503
Li 0.153 0.593 0.351
Mn 0.756 0.487 0.263
O 0.776 0.987 0.492
O 0.018 0.228 0.507
O 0.742 0.744 0.268
Li 0.991 0.492 0.526
Mn 0.504 0.997 0.002
Mn 0.503 0.253 0.755
Li 0.504 0.497 0.506
O 0.488 0.492 0.757
O 0.520 0.757 0.482
O 0.272 0.756 0.254
O 0.749 0.247 0.231
O 0.017 0.516 0.750
Mn 0.002 0.498 0.005
O 0.260 0.227 0.253
Li 0.775 0.274 0.537
Li 0.784 0.005 0.233
Li 0.506 0.259 0.233
O 0.013 0.982 0.725
O 0.494 0.983 0.234
O 0.249 0.497 0.525
Li 0.981 0.758 0.228
O 0.244 0.994 0.477
O 0.764 0.484 0.003
O 0.994 0.757 0.489
CELL_PARAMETERS angstrom
8.236 0.000 0.000
0.016 8.291 0.000
0.032 0.069 8.632
```

## Properties
* spin magnetization: 42.0 Bohr magnetons per cell
* calculated volume: 8.931 Å³/atom
* ΔE_f: -2.1119 eV per atom

***

# 2
Material: LiMn3O6
Method: DFT, PBE with a Hubbard U
State: relaxed Values from VASP.

```
&SYSTEM
  ibrav = 0, nat = 40, ntyp = 3
/
ATOMIC_SPECIES
O 16.00 O.upf
Mn 54.94 Mn.upf
Li 6.94 Li.upf
ATOMIC_POSITIONS crystal
O 0.552 0.677 0.636
Mn 0.663 0.833 0.505
Mn 0.004 0.501 0.497
O 0.773 0.485 0.861
Mn 0.334 0.167 0.998
O 0.553 0.174 0.137
Li 0.151 0.825 0.258
Mn 0.334 0.665 0.002
O 0.772 0.489 0.377
O 0.220 0.013 0.623
O 0.114 0.656 0.867
O 0.222 0.509 0.124
O 0.445 0.824 0.358
Mn 0.678 0.330 0.995
Mn 0.677 0.830 0.998
Li 0.516 0.008 0.241
O 0.447 0.321 0.357
Mn 0.664 0.334 0.500
O 0.445 0.323 0.875
O 0.115 0.160 0.361
O 0.222 0.514 0.639
Li 0.153 0.325 0.272
Li 0.516 0.508 0.735
O 0.552 0.677 0.138
O 0.894 0.348 0.137
O 0.773 0.985 0.879
Mn 0.004 0.999 0.998
O 0.222 0.010 0.143
O 0.894 0.849 0.622
O 0.895 0.845 0.142
O 0.114 0.657 0.364
O 0.770 0.987 0.361
O 0.115 0.152 0.867
Mn 0.988 0.004 0.502
O 0.552 0.181 0.632
Mn 0.990 0.503 0.002
O 0.445 0.819 0.878
Mn 0.332 0.668 0.502
Mn 0.333 0.167 0.500
O 0.896 0.346 0.619
CELL_PARAMETERS angstrom
-0.440 -4.201 -5.175
-6.578 -7.005 9.443
-5.216 -0.522 -2.289
```

## Properties
* excess energy over the best structure of this formula in the dataset: 0.0955 eV per atom
* spin magnetization: 40.0 Bohr magnetons per cell
* calculated volume: 10.807 Å³/atom
* ΔE_f: -1.8842 eV per atom

***

# 3
Material: LiMn3O6
Method: DFT, PBE with a Hubbard U
State: relaxed Values from VASP.

```
&SYSTEM
  ibrav = 0, nat = 10, ntyp = 3
/
ATOMIC_SPECIES
O 16.00 O.upf
Mn 54.94 Mn.upf
Li 6.94 Li.upf
ATOMIC_POSITIONS crystal
O 0.234 0.234 0.297
Mn 0.343 0.343 0.545
O 0.767 0.767 0.707
O 0.094 0.094 0.646
Mn 0.003 0.003 0.003
O 0.574 0.574 0.159
Li 0.793 0.793 0.072
O 0.900 0.900 0.354
O 0.423 0.423 0.861
Mn 0.654 0.654 0.470
CELL_PARAMETERS angstrom
1.459 6.966 0.000
-1.459 6.966 0.000
0.000 0.043 5.028
```

## Properties
* excess energy over the best structure of this formula in the dataset: 0.0112 eV per atom
* spin magnetization: 10.0 Bohr magnetons per cell
* calculated volume: 10.221 Å³/atom
* ΔE_f: -1.9685 eV per atom

***

# 4
Material: Li4Mn3O7
Method: DFT, PBE with a Hubbard U
State: relaxed Values from VASP.

```
&SYSTEM
  ibrav = 0, nat = 28, ntyp = 3
/
ATOMIC_SPECIES
O 16.00 O.upf
Li 6.94 Li.upf
Mn 54.94 Mn.upf
ATOMIC_POSITIONS crystal
O 0.202 0.202 0.176
Li 0.142 0.142 0.786
O 0.090 0.090 0.396
O 0.360 0.360 0.964
Li 0.858 0.858 0.214
Mn 0.857 0.857 0.714
O 0.518 0.518 0.253
O 0.910 0.910 0.604
Mn 0.286 0.286 0.571
O 0.661 0.661 0.538
O 0.640 0.640 0.036
O 0.233 0.233 0.681
Li 0.700 0.700 0.933
Li 0.000 0.000 0.500
Li 0.571 0.571 0.643
O 0.339 0.339 0.462
Li 0.300 0.300 0.067
O 0.767 0.767 0.319
Mn 0.714 0.714 0.429
O 0.482 0.482 0.747
Li 0.000 0.000 0.000
Mn 0.575 0.575 0.143
Mn 0.425 0.425 0.857
O 0.066 0.066 0.888
O 0.934 0.934 0.112
Li 0.429 0.429 0.357
Mn 0.143 0.143 0.286
O 0.798 0.798 0.824
CELL_PARAMETERS angstrom
-2.277 -0.924 1.857
0.027 0.307 3.064
-15.317 30.852 -2.228
```

## Properties
* excess energy over the best structure of this formula in the dataset: 0.1098 eV per atom
* spin magnetization: 25.4 Bohr magnetons per cell
* calculated volume: 9.657 Å³/atom
* ΔE_f: -2.0347 eV per atom

***

# 5
Material: Li4Mn3O7
Method: DFT, PBE with a Hubbard U
State: relaxed Values from VASP.

```
&SYSTEM
  ibrav = 0, nat = 28, ntyp = 3
/
ATOMIC_SPECIES
O 16.00 O.upf
Li 6.94 Li.upf
Mn 54.94 Mn.upf
ATOMIC_POSITIONS crystal
O 0.036 0.058 0.878
Li 0.500 0.000 0.000
Li 0.709 0.426 0.357
O 0.428 0.914 0.615
Mn 0.785 0.572 0.144
O 0.572 0.086 0.385
Mn 0.348 0.712 0.431
O 0.352 0.633 0.031
O 0.578 0.203 0.193
Li 0.855 0.728 0.940
O 0.218 0.509 0.254
Mn 0.652 0.288 0.569
Li 0.558 0.139 0.794
O 0.964 0.942 0.122
O 0.648 0.367 0.969
Li 0.291 0.574 0.643
O 0.782 0.491 0.746
Mn 0.074 0.136 0.275
O 0.083 0.224 0.677
O 0.422 0.797 0.807
Li 0.145 0.272 0.060
O 0.917 0.776 0.323
Li 0.442 0.861 0.206
O 0.208 0.344 0.458
Li 0.000 0.000 0.500
Mn 0.215 0.428 0.856
Mn 0.926 0.864 0.725
O 0.792 0.656 0.542
CELL_PARAMETERS angstrom
2.998 0.000 0.000
-1.039 9.721 0.000
-0.749 -4.427 8.881
```

## Properties
* excess energy over the best structure of this formula in the dataset: 0.0238 eV per atom
* spin magnetization: 22.0 Bohr magnetons per cell
* calculated volume: 9.244 Å³/atom
* ΔE_f: -2.1207 eV per atom

***

# 6
Material: Li4Mn3O7
Method: DFT, PBE with a Hubbard U
State: relaxed Values from VASP.

```
&SYSTEM
  ibrav = 0, nat = 28, ntyp = 3
/
ATOMIC_SPECIES
O 16.00 O.upf
Mn 54.94 Mn.upf
Li 6.94 Li.upf
ATOMIC_POSITIONS crystal
O 0.553 0.622 0.389
Mn 0.208 0.429 0.426
Li 0.766 0.572 0.065
Li 0.234 0.428 0.935
O 0.119 0.812 0.027
Mn 0.633 0.288 0.275
Li 0.359 0.713 0.209
Li 0.080 0.141 0.649
O 0.602 0.651 0.894
Mn 0.935 0.853 0.866
Mn 0.065 0.147 0.134
Li 0.500 0.000 0.500
Li 0.500 0.000 0.000
O 0.729 0.905 0.696
O 0.021 0.524 0.760
Mn 0.367 0.712 0.725
Li 0.641 0.287 0.791
O 0.728 0.958 0.184
O 0.979 0.476 0.240
Li 0.920 0.859 0.351
O 0.398 0.349 0.106
O 0.271 0.095 0.304
Mn 0.792 0.571 0.574
O 0.870 0.237 0.471
O 0.881 0.188 0.973
O 0.130 0.763 0.529
O 0.447 0.378 0.611
O 0.272 0.042 0.816
CELL_PARAMETERS angstrom
-4.392 -1.589 1.986
3.095 -0.528 4.010
-2.347 10.214 0.428
```

## Properties
* excess energy over the best structure of this formula in the dataset: 0.0037 eV per atom
* spin magnetization: 22.0 Bohr magnetons per cell
* calculated volume: 9.223 Å³/atom
* ΔE_f: -2.1408 eV per atom

***

# 7
Material: Li9Mn20O40
Method: DFT, PBE with a Hubbard U
State: relaxed Values from VASP.

```
&SYSTEM
  ibrav = 0, nat = 69, ntyp = 3
/
ATOMIC_SPECIES
Mn 54.94 Mn.upf
O 16.00 O.upf
Li 6.94 Li.upf
ATOMIC_POSITIONS crystal
Mn 0.299 0.603 0.798
O 0.889 0.197 0.587
O 0.565 0.078 0.804
O 0.135 0.803 0.419
Li 0.974 0.953 0.853
O 0.577 0.586 0.304
O 0.544 0.094 0.283
Li 0.215 0.455 0.350
O 0.018 0.618 0.292
Mn 0.894 0.803 0.398
Li 0.178 0.353 0.050
Li 0.379 0.752 0.252
Mn 0.304 0.102 0.306
Mn 0.705 0.900 0.697
O 0.367 0.696 0.079
Mn 0.498 0.503 0.000
O 0.251 0.020 0.497
O 0.188 0.792 0.901
O 0.633 0.814 0.893
Mn 0.096 0.707 0.098
O 0.158 0.298 0.882
O 0.717 0.007 0.017
O 0.416 0.414 0.695
O 0.938 0.892 0.688
Mn 0.505 0.000 0.998
O 0.166 0.280 0.409
Mn 0.412 0.798 0.899
O 0.469 0.901 0.713
O 0.757 0.983 0.509
Mn 0.498 0.498 0.498
Mn 0.193 0.403 0.702
O 0.296 0.992 0.982
Mn 0.896 0.297 0.902
O 0.729 0.483 0.005
Mn 0.798 0.599 0.298
O 0.460 0.918 0.195
O 0.267 0.521 0.994
O 0.864 0.715 0.594
Mn 0.303 0.102 0.801
O 0.976 0.385 0.705
O 0.324 0.688 0.606
O 0.057 0.594 0.783
Mn 0.589 0.206 0.100
Li 0.816 0.645 0.950
O 0.050 0.117 0.793
Li 0.574 0.151 0.448
Li 0.625 0.252 0.748
O 0.935 0.409 0.214
O 0.805 0.214 0.096
Mn 0.694 0.896 0.200
Li 0.786 0.549 0.647
Mn 0.908 0.303 0.398
Mn 0.095 0.698 0.600
O 0.626 0.309 0.922
Mn 0.006 0.000 0.500
O 0.832 0.707 0.116
Li 0.426 0.846 0.551
O 0.657 0.793 0.379
Mn 0.698 0.396 0.202
O 0.320 0.208 0.617
O 0.371 0.184 0.108
Mn 0.106 0.200 0.602
O 0.760 0.498 0.480
O 0.649 0.316 0.396
O 0.456 0.397 0.181
O 0.917 0.887 0.203
O 0.541 0.606 0.817
O 0.230 0.508 0.519
O 0.079 0.106 0.318
CELL_PARAMETERS angstrom
-7.198 -4.952 0.695
0.821 -8.006 6.236
-6.476 2.699 7.404
```

## Properties
* excess energy over the best structure of this formula in the dataset: 0.0000 eV per atom
* spin magnetization: 69.0 Bohr magnetons per cell
* calculated volume: 10.775 Å³/atom
* ΔE_f: -2.0408 eV per atom

***

# 8
Material: Li4Mn3O7
Method: DFT, PBE with a Hubbard U
State: relaxed Values from VASP.

```
&SYSTEM
  ibrav = 0, nat = 28, ntyp = 3
/
ATOMIC_SPECIES
O 16.00 O.upf
Mn 54.94 Mn.upf
Li 6.94 Li.upf
ATOMIC_POSITIONS crystal
O 0.966 0.938 0.274
Mn 0.135 0.295 0.863
O 0.085 0.058 0.717
Mn 0.579 0.134 0.423
O 0.941 0.776 0.849
Li 0.780 0.580 0.733
O 0.749 0.491 0.012
O 0.462 0.935 0.307
O 0.773 0.653 0.436
Mn 0.008 0.995 0.003
O 0.110 0.210 0.128
O 0.402 0.772 0.833
Mn 0.706 0.433 0.283
Mn 0.440 0.852 0.566
Li 0.357 0.714 0.143
Li 0.499 0.002 0.005
Li 0.623 0.301 0.868
Li 0.215 0.427 0.281
O 0.312 0.657 0.453
O 0.630 0.370 0.569
Li 0.934 0.849 0.553
Li 0.091 0.128 0.418
O 0.604 0.218 0.158
Li 0.857 0.714 0.143
O 0.253 0.493 0.979
O 0.167 0.377 0.597
Mn 0.275 0.576 0.720
O 0.547 0.052 0.689
CELL_PARAMETERS angstrom
0.759 -5.863 1.275
3.822 -3.395 -5.702
4.286 0.168 4.841
```

## Properties
* excess energy over the best structure of this formula in the dataset: 0.0169 eV per atom
* spin magnetization: 22.0 Bohr magnetons per cell
* calculated volume: 9.264 Å³/atom
* ΔE_f: -2.1277 eV per atom

***

# 9
Material: Li11Mn13O32
Method: DFT, PBE with a Hubbard U
State: relaxed Values from VASP.

```
&SYSTEM
  ibrav = 0, nat = 56, ntyp = 3
/
ATOMIC_SPECIES
Li 6.94 Li.upf
O 16.00 O.upf
Mn 54.94 Mn.upf
ATOMIC_POSITIONS crystal
Li 0.248 0.752 0.000
O 0.608 0.107 0.762
O 0.853 0.853 0.265
O 0.856 0.856 0.747
O 0.739 0.518 0.488
Li 0.682 0.177 0.379
O 0.372 0.372 0.733
O 0.101 0.607 0.251
O 0.220 0.493 0.020
O 0.607 0.101 0.251
O 0.260 0.032 0.482
O 0.392 0.893 0.238
Mn 0.623 0.878 0.248
O 0.482 0.261 0.512
O 0.518 0.739 0.488
Mn 0.500 0.500 0.500
O 0.261 0.482 0.512
O 0.893 0.392 0.238
O 0.628 0.628 0.267
O 0.107 0.608 0.762
Mn 0.377 0.122 0.752
Mn 0.625 0.874 0.751
Mn 0.874 0.625 0.751
Mn 0.122 0.377 0.752
O 0.144 0.144 0.253
Mn 0.126 0.375 0.249
O 0.493 0.220 0.020
Li 0.823 0.318 0.621
O 0.507 0.780 0.980
Mn 0.249 0.249 0.497
O 0.147 0.147 0.735
O 0.013 0.280 0.977
Li 0.318 0.823 0.621
Li 0.000 0.000 0.500
O 0.899 0.393 0.749
O 0.358 0.358 0.261
Mn 0.878 0.623 0.248
Li 0.752 0.248 0.000
Mn 0.751 0.751 0.503
O 0.968 0.740 0.518
O 0.720 0.987 0.023
O 0.032 0.260 0.482
Mn 0.375 0.126 0.249
O 0.780 0.507 0.980
Li 0.929 0.929 0.880
Li 0.177 0.682 0.379
O 0.987 0.720 0.023
Mn 0.500 0.000 0.000
Li 0.071 0.071 0.120
Li 0.428 0.428 0.885
Mn 0.000 0.500 0.000
O 0.280 0.013 0.977
O 0.740 0.968 0.518
O 0.642 0.642 0.739
O 0.393 0.899 0.749
Li 0.572 0.572 0.115
CELL_PARAMETERS angstrom
-2.279 -4.710 6.422
7.753 0.102 2.915
0.955 4.550 8.973
```

## Properties
* spin magnetization: 38.0 Bohr magnetons per cell
* calculated volume: 10.154 Å³/atom
* ΔE_f: -2.0306 eV per atom